<i>
The following is a DFT calculation (PBE) of an optimized crystal structure of Sm2MgS4.

Structure (POSCAR):
```
Sm2MgS4
1.0
8.123 0.000 0.000
0.000 7.277 0.000
0.000 0.000 11.647
S Sm Mg
16 8 4
Direct
0.637 0.498 0.655 S
0.363 0.502 0.345 S
0.405 0.250 0.050 S
0.212 0.750 0.109 S
0.137 0.002 0.845 S
0.863 0.502 0.155 S
0.788 0.250 0.891 S
0.905 0.250 0.450 S
0.863 0.998 0.155 S
0.637 0.002 0.655 S
0.363 0.998 0.345 S
0.095 0.750 0.550 S
0.712 0.750 0.391 S
0.137 0.498 0.845 S
0.288 0.250 0.609 S
0.595 0.750 0.950 S
0.465 0.250 0.812 Sm
0.080 0.250 0.028 Sm
0.920 0.750 0.972 Sm
0.535 0.750 0.188 Sm
0.965 0.250 0.688 Sm
0.420 0.750 0.528 Sm
0.035 0.750 0.312 Sm
0.580 0.250 0.472 Sm
0.313 0.750 0.913 Mg
0.187 0.250 0.413 Mg
0.813 0.750 0.587 Mg
0.687 0.250 0.087 Mg
```

Properties
Space group = Pnma (62)
Calculated density = 4.4 Mg/m³
Spin magnetization = 0.000 μB/atom

***

<ii>
The following is a DFT calculation (PBE) of an optimized crystal structure of Sm2MgS4.

Structure (POSCAR):
```
Sm2MgS4
1.0
-5.291 2.290 5.146
-9.060 -0.240 -9.208
-2.575 -12.365 2.856
Mg Sm S
8 16 32
Direct
0.120 0.626 0.321 Mg
0.120 0.874 0.821 Mg
0.880 0.126 0.321 Mg
0.384 0.111 0.692 Mg
0.616 0.611 0.692 Mg
0.384 0.389 0.192 Mg
0.880 0.374 0.821 Mg
0.616 0.889 0.192 Mg
0.383 0.373 0.826 Sm
0.130 0.135 0.993 Sm
0.630 0.366 0.494 Sm
0.885 0.391 0.185 Sm
0.617 0.627 0.326 Sm
0.870 0.865 0.493 Sm
0.130 0.365 0.493 Sm
0.617 0.873 0.826 Sm
0.383 0.127 0.326 Sm
0.630 0.134 0.994 Sm
0.370 0.634 0.994 Sm
0.115 0.609 0.685 Sm
0.115 0.891 0.185 Sm
0.870 0.635 0.993 Sm
0.885 0.109 0.685 Sm
0.370 0.866 0.494 Sm
0.120 0.988 0.379 S
0.869 0.767 0.275 S
0.880 0.289 0.998 S
0.367 0.769 0.277 S
0.619 0.789 0.022 S
0.120 0.711 0.498 S
0.880 0.488 0.379 S
0.381 0.289 0.022 S
0.620 0.970 0.629 S
0.120 0.512 0.879 S
0.381 0.211 0.522 S
0.880 0.012 0.879 S
0.633 0.269 0.277 S
0.628 0.976 0.368 S
0.131 0.267 0.275 S
0.380 0.030 0.129 S
0.633 0.231 0.777 S
0.126 0.545 0.139 S
0.628 0.524 0.868 S
0.367 0.731 0.777 S
0.869 0.733 0.775 S
0.874 0.455 0.639 S
0.620 0.530 0.129 S
0.372 0.024 0.868 S
0.880 0.211 0.498 S
0.380 0.470 0.629 S
0.372 0.476 0.368 S
0.120 0.789 0.998 S
0.874 0.045 0.139 S
0.131 0.233 0.775 S
0.619 0.711 0.522 S
0.126 0.955 0.639 S
```

Properties
Space group = Pca2_1 (29)
Calculated density = 4.7 Mg/m³
Spin magnetization = 0.000 μB/atom

***

<ii> takes first place; second place is 181 meV/atom up.

***

<i>
The following is a DFT calculation (PBE) of an optimized crystal structure of Tm2MgS4.

Structure (POSCAR):
```
Tm2MgS4
1.0
-4.424 -3.647 5.342
-0.093 -5.990 -4.167
9.328 -3.742 5.171
S Tm Mg
16 8 4
Direct
0.771 0.250 0.891 S
0.379 0.005 0.341 S
0.621 0.505 0.659 S
0.121 0.995 0.841 S
0.271 0.250 0.609 S
0.879 0.495 0.159 S
0.621 0.995 0.659 S
0.112 0.750 0.539 S
0.388 0.250 0.039 S
0.729 0.750 0.391 S
0.888 0.250 0.461 S
0.379 0.495 0.341 S
0.229 0.750 0.109 S
0.879 0.005 0.159 S
0.121 0.505 0.841 S
0.612 0.750 0.961 S
0.436 0.750 0.515 Tm
0.045 0.750 0.306 Tm
0.564 0.250 0.485 Tm
0.545 0.750 0.194 Tm
0.064 0.250 0.015 Tm
0.455 0.250 0.806 Tm
0.955 0.250 0.694 Tm
0.936 0.750 0.985 Tm
0.175 0.250 0.402 Mg
0.325 0.750 0.902 Mg
0.825 0.750 0.598 Mg
0.675 0.250 0.098 Mg
```

Properties
Space group = Pnma (62)
Calculated density = 5.0 Mg/m³
Spin magnetization = 0.000 μB/atom

***

<ii>
The following is a DFT calculation (PBE) of an optimized crystal structure of Tm2MgS4.

Structure (POSCAR):
```
Tm2MgS4
1.0
0.000 5.539 5.539
5.539 0.000 5.539
5.539 5.539 0.000
S Mg Tm
8 2 4
Direct
0.380 0.859 0.380 S
0.391 0.870 0.870 S
0.870 0.870 0.870 S
0.870 0.870 0.391 S
0.380 0.380 0.859 S
0.870 0.391 0.870 S
0.859 0.380 0.380 S
0.380 0.380 0.380 S
0.250 0.250 0.250 Mg
0.000 0.000 0.000 Mg
0.125 0.625 0.625 Tm
0.625 0.625 0.625 Tm
0.625 0.125 0.625 Tm
0.625 0.625 0.125 Tm
```

Properties
Space group = Fd-3m (227)
Calculated density = 4.8 Mg/m³

***

<ii> takes first place; second place is 261 meV/atom up.

***

<i>
The following is a DFT calculation (PBE) of an optimized crystal structure of Tm2MgS4.

Structure (POSCAR):
```
Tm2MgS4
1.0
7.148 0.000 0.000
-0.003 8.262 0.000
-1.237 -2.100 12.630
S Mg Tm
16 4 8
Direct
0.809 0.718 0.374 S
0.693 0.541 0.629 S
0.904 0.353 0.896 S
0.598 0.405 0.103 S
0.397 0.101 0.895 S
0.603 0.899 0.105 S
0.895 0.846 0.893 S
0.096 0.647 0.104 S
0.402 0.595 0.897 S
0.191 0.282 0.626 S
0.307 0.459 0.371 S
0.827 0.219 0.372 S
0.695 0.023 0.629 S
0.105 0.154 0.107 S
0.305 0.977 0.371 S
0.173 0.781 0.628 S
0.133 0.200 0.299 Mg
0.867 0.800 0.701 Mg
0.751 0.623 0.996 Mg
0.249 0.377 0.004 Mg
0.367 0.044 0.694 Tm
0.865 0.300 0.695 Tm
0.633 0.956 0.306 Tm
0.242 0.873 0.999 Tm
0.135 0.700 0.305 Tm
0.632 0.445 0.303 Tm
0.758 0.127 0.001 Tm
0.368 0.555 0.697 Tm
```

Properties
Space group = P-1 (2)
Calculated density = 4.4 Mg/m³
Spin magnetization = 0.000 μB/atom

***

<ii>
The following is a DFT calculation (PBE) of an optimized crystal structure of Tm2MgS4.

Structure (POSCAR):
```
Tm2MgS4
1.0
13.347 0.000 0.000
0.000 7.788 0.000
0.000 0.000 6.479
Tm S Mg
8 16 4
Direct
0.000 0.000 0.500 Tm
0.733 0.750 0.499 Tm
0.500 0.500 0.000 Tm
0.233 0.750 0.001 Tm
0.000 0.500 0.500 Tm
0.500 0.000 0.000 Tm
0.767 0.250 0.999 Tm
0.267 0.250 0.501 Tm
0.669 0.493 0.761 S
0.072 0.750 0.250 S
0.331 0.507 0.239 S
0.572 0.750 0.250 S
0.831 0.993 0.261 S
0.169 0.007 0.739 S
0.092 0.250 0.292 S
0.908 0.750 0.708 S
0.331 0.993 0.239 S
0.408 0.750 0.792 S
0.928 0.250 0.750 S
0.592 0.250 0.208 S
0.169 0.493 0.739 S
0.831 0.507 0.261 S
0.428 0.250 0.750 S
0.669 0.007 0.761 S
0.907 0.750 0.077 Mg
0.407 0.750 0.423 Mg
0.093 0.250 0.923 Mg
0.593 0.250 0.577 Mg
```

Properties
Space group = Pnma (62)
Calculated density = 4.8 Mg/m³
Spin magnetization = 0.000 μB/atom

***

<iii>
The following is a DFT calculation (PBE) of an optimized crystal structure of Tm2MgS4.

Structure (POSCAR):
```
Tm2MgS4
1.0
-12.139 -2.307 -1.783
-0.271 -1.323 3.557
-2.965 12.252 4.332
Tm S Mg
8 16 4
Direct
0.139 0.250 0.704 Tm
0.383 0.750 0.574 Tm
0.361 0.750 0.204 Tm
0.883 0.750 0.926 Tm
0.861 0.750 0.296 Tm
0.117 0.250 0.074 Tm
0.639 0.250 0.796 Tm
0.617 0.250 0.426 Tm
0.009 0.750 0.617 S
0.225 0.250 0.246 S
0.725 0.250 0.254 S
0.527 0.250 0.617 S
0.973 0.750 0.117 S
0.491 0.250 0.117 S
0.239 0.250 0.516 S
0.261 0.750 0.016 S
0.761 0.750 0.484 S
0.509 0.750 0.883 S
0.991 0.250 0.383 S
0.775 0.750 0.754 S
0.473 0.750 0.383 S
0.027 0.250 0.883 S
0.275 0.750 0.746 S
0.739 0.250 0.984 S
0.612 0.750 0.048 Mg
0.112 0.750 0.452 Mg
0.388 0.250 0.952 Mg
0.888 0.250 0.548 Mg
```

Properties
Space group = Pnma (62)
Calculated density = 5.1 Mg/m³
Spin magnetization = 0.000 μB/atom

***

<ii> takes first place; second place is 41 meV/atom up.